(1)
DFT (PBE with a Hubbard U) results for crystalline FeMoClO4 at its relaxed geometry.

CIF file:
```
data_FeMoClO4
_cell_length_a 5.6261
_cell_length_b 6.7843
_cell_length_c 6.7843
_cell_angle_alpha 90.00
_cell_angle_beta 90.00
_cell_angle_gamma 90.00
_space_group_name_H-M_alt 'P 1'
_space_group_IT_number 1
_space_group_name_Hall 'P 1'
loop_
_atom_site_label
_atom_site_fract_x
_atom_site_fract_y
_atom_site_fract_z
Fe1 0.7325 0.7500 0.7500
Fe2 0.2675 0.2500 0.2500
Mo1 0.0000 0.2500 0.7500
Mo2 0.0000 0.7500 0.2500
Cl1 0.6645 0.2500 0.2500
Cl2 0.3355 0.7500 0.7500
O1 0.1852 0.9651 0.2500
O2 0.1852 0.5349 0.2500
O3 0.1852 0.2500 0.5349
O4 0.1852 0.2500 0.9651
O5 0.8148 0.7500 0.4651
O6 0.8148 0.0349 0.7500
O7 0.8148 0.7500 0.0349
O8 0.8148 0.4651 0.7500
```

---

(2)
DFT (PBE with a Hubbard U) results for crystalline FeMoClO4 at its relaxed geometry.

CIF file:
```
data_FeMoClO4
_cell_length_a 5.5417
_cell_length_b 6.7510
_cell_length_c 6.7505
_cell_angle_alpha 90.07
_cell_angle_beta 90.00
_cell_angle_gamma 89.94
_space_group_name_H-M_alt 'P 1'
_space_group_IT_number 1
_space_group_name_Hall 'P 1'
loop_
_atom_site_label
_atom_site_fract_x
_atom_site_fract_y
_atom_site_fract_z
Fe1 0.2675 0.2498 0.2500
Fe2 0.7526 0.7514 0.7492
Mo1 0.9951 0.2504 0.7501
Mo2 0.9953 0.7498 0.2497
Cl1 0.6701 0.2498 0.2501
Cl2 0.3444 0.7492 0.7505
O1 0.1853 0.9644 0.2501
O2 0.1857 0.5355 0.2500
O3 0.1851 0.2503 0.5356
O4 0.1853 0.2496 0.9644
O5 0.8081 0.7495 0.4672
O6 0.8079 0.0329 0.7502
O7 0.8089 0.7492 0.0322
O8 0.8088 0.4681 0.7507
```

---

Most stable = (1)

---

(1)
DFT (PBE with a Hubbard U) results for crystalline FeSbCl8O8 at its relaxed geometry.

CIF file:
```
data_FeSbCl8O8
_cell_length_a 7.4720
_cell_length_b 8.5739
_cell_length_c 9.0750
_cell_angle_alpha 92.22
_cell_angle_beta 93.07
_cell_angle_gamma 91.30
_space_group_name_H-M_alt 'P 1'
_space_group_IT_number 1
_space_group_name_Hall 'P 1'
loop_
_atom_site_label
_atom_site_fract_x
_atom_site_fract_y
_atom_site_fract_z
Fe1 0.0071 0.9971 0.0007
Sb1 0.4988 0.5152 0.5010
Cl1 0.0421 0.9943 0.7527
Cl2 0.0182 0.9613 0.2501
Cl3 0.4939 0.5033 0.7606
Cl4 0.5190 0.5216 0.2424
Cl5 0.7548 0.6996 0.5331
Cl6 0.2730 0.2998 0.4716
Cl7 0.2661 0.6981 0.4956
Cl8 0.7265 0.3042 0.5046
O1 0.0180 0.7804 0.0168
O2 0.8896 0.2227 0.0083
O3 0.2504 0.9827 0.9916
O4 0.7680 0.1148 0.9982
O5 0.5134 0.9794 0.5574
O6 0.9595 0.4850 0.6025
O7 0.4942 0.9987 0.4241
O8 0.0075 0.4418 0.3887
```

---

(2)
DFT (PBE with a Hubbard U) results for crystalline FeSbCl8O8 at its relaxed geometry.

CIF file:
```
data_FeSbCl8O8
_cell_length_a 6.9102
_cell_length_b 6.9102
_cell_length_c 8.8767
_cell_angle_alpha 90.00
_cell_angle_beta 90.00
_cell_angle_gamma 90.00
_space_group_name_H-M_alt 'P 1'
_space_group_IT_number 1
_space_group_name_Hall 'P 1'
loop_
_atom_site_label
_atom_site_fract_x
_atom_site_fract_y
_atom_site_fract_z
Fe1 0.0000 0.0000 0.0000
Sb1 0.5000 0.5000 0.5000
Cl1 0.0000 0.0000 0.7521
Cl2 0.0000 0.0000 0.2479
Cl3 0.5000 0.5000 0.7662
Cl4 0.5000 0.5000 0.2338
Cl5 0.2502 0.2502 0.5000
Cl6 0.7498 0.7498 0.5000
Cl7 0.7498 0.2502 0.5000
Cl8 0.2502 0.7498 0.5000
O1 0.0000 0.2629 0.0000
O2 0.0000 0.7371 0.0000
O3 0.7371 0.0000 0.0000
O4 0.2629 0.0000 0.0000
O5 0.5000 0.0000 0.6871
O6 0.0000 0.5000 0.6871
O7 0.5000 0.0000 0.3129
O8 0.0000 0.5000 0.3129
```

---

Most stable = (1)

---

(1)
DFT (PBE with a Hubbard U) results for crystalline Gd2MgMo2Cl2O8 at its relaxed geometry.

CIF file:
```
data_Gd2MgMo2Cl2O8
_cell_length_a 6.7350
_cell_length_b 6.7350
_cell_length_c 7.2315
_cell_angle_alpha 76.28
_cell_angle_beta 76.28
_cell_angle_gamma 61.67
_space_group_name_H-M_alt 'P 1'
_space_group_IT_number 1
_space_group_name_Hall 'P 1'
loop_
_atom_site_label
_atom_site_fract_x
_atom_site_fract_y
_atom_site_fract_z
Gd1 0.2682 0.2902 0.8717
Gd2 0.7098 0.7318 0.1283
Mg1 0.7562 0.2438 0.0000
Mo1 0.6246 0.6700 0.7104
Mo2 0.3300 0.3754 0.2896
Cl1 0.0653 0.0546 0.1981
Cl2 0.9454 0.9347 0.8019
O1 0.3009 0.2991 0.5470
O2 0.4782 0.9002 0.8618
O3 0.7009 0.6991 0.4530
O4 0.5200 0.1226 0.1423
O5 0.0998 0.5218 0.1382
O6 0.5516 0.4888 0.1967
O7 0.8774 0.4800 0.8577
O8 0.5112 0.4484 0.8033
```

---

(2)
DFT (PBE with a Hubbard U) results for crystalline Gd2MgMo2Cl2O8 at its relaxed geometry.

CIF file:
```
data_Gd2MgMo2Cl2O8
_cell_length_a 6.5323
_cell_length_b 6.5359
_cell_length_c 7.0047
_cell_angle_alpha 73.61
_cell_angle_beta 73.58
_cell_angle_gamma 67.18
_space_group_name_H-M_alt 'P 1'
_space_group_IT_number 1
_space_group_name_Hall 'P 1'
loop_
_atom_site_label
_atom_site_fract_x
_atom_site_fract_y
_atom_site_fract_z
Gd1 0.2310 0.2413 0.8910
Gd2 0.7577 0.7679 0.1092
Mg1 0.6865 0.3128 0.5002
Mo1 0.6450 0.6362 0.7337
Mo2 0.3629 0.3539 0.2665
Cl1 0.9458 0.0498 0.2516
Cl2 0.9507 0.0532 0.7483
O1 0.3855 0.2420 0.5394
O2 0.4858 0.8763 0.8665
O3 0.7572 0.6146 0.4605
O4 0.4567 0.0967 0.1531
O5 0.1228 0.5127 0.1339
O6 0.5519 0.5227 0.2260
O7 0.9028 0.5433 0.8466
O8 0.4764 0.4472 0.7734
```

---

Most stable = (1)

---

(1)
DFT (PBE with a Hubbard U) results for crystalline Tb2MgMo2Cl2O8 at its relaxed geometry.

CIF file:
```
data_Tb2MgMo2Cl2O8
_cell_length_a 6.7170
_cell_length_b 6.7170
_cell_length_c 7.1717
_cell_angle_alpha 76.60
_cell_angle_beta 76.60
_cell_angle_gamma 60.79
_space_group_name_H-M_alt 'P 1'
_space_group_IT_number 1
_space_group_name_Hall 'P 1'
loop_
_atom_site_label
_atom_site_fract_x
_atom_site_fract_y
_atom_site_fract_z
Tb1 0.2690 0.2908 0.8744
Tb2 0.7092 0.7310 0.1256
Mg1 0.7602 0.2398 0.0000
Mo1 0.3318 0.3794 0.2904
Mo2 0.6206 0.6682 0.7096
Cl1 0.0702 0.0560 0.2003
Cl2 0.9440 0.9298 0.7997
O1 0.3036 0.3058 0.5490
O2 0.4782 0.9018 0.8632
O3 0.6942 0.6964 0.4510
O4 0.5065 0.4495 0.8053
O5 0.0982 0.5218 0.1368
O6 0.8792 0.4758 0.8558
O7 0.5242 0.1208 0.1442
O8 0.5505 0.4935 0.1947
```

---

(2)
DFT (PBE with a Hubbard U) results for crystalline Tb2MgMo2Cl2O8 at its relaxed geometry.

CIF file:
```
data_Tb2MgMo2Cl2O8
_cell_length_a 6.4886
_cell_length_b 6.5021
_cell_length_c 6.9779
_cell_angle_alpha 73.42
_cell_angle_beta 73.39
_cell_angle_gamma 66.85
_space_group_name_H-M_alt 'P 1'
_space_group_IT_number 1
_space_group_name_Hall 'P 1'
loop_
_atom_site_label
_atom_site_fract_x
_atom_site_fract_y
_atom_site_fract_z
Tb1 0.2327 0.2429 0.8917
Tb2 0.7563 0.7661 0.1080
Mg1 0.6880 0.3120 0.5002
Mo1 0.3621 0.3537 0.2674
Mo2 0.6445 0.6383 0.7325
Cl1 0.9490 0.0487 0.2486
Cl2 0.9515 0.0506 0.7505
O1 0.3833 0.2401 0.5418
O2 0.4852 0.8779 0.8690
O3 0.7580 0.6178 0.4582
O4 0.4747 0.4491 0.7717
O5 0.1212 0.5123 0.1321
O6 0.9031 0.5408 0.8481
O7 0.4588 0.0959 0.1519
O8 0.5505 0.5245 0.2282
```

---

Most stable = (1)

---

(1)
DFT (PBE with a Hubbard U) results for crystalline MgVCl2O at its relaxed geometry.

CIF file:
```
data_MgVCl2O
_cell_length_a 3.9232
_cell_length_b 4.3181
_cell_length_c 6.9171
_cell_angle_alpha 71.64
_cell_angle_beta 73.52
_cell_angle_gamma 90.00
_space_group_name_H-M_alt 'P 1'
_space_group_IT_number 1
_space_group_name_Hall 'P 1'
loop_
_atom_site_label
_atom_site_fract_x
_atom_site_fract_y
_atom_site_fract_z
Mg1 0.5091 0.4842 0.9823
V1 0.9985 0.9752 0.0033
Cl1 0.6322 0.1105 0.7360
Cl2 0.3697 0.8507 0.2609
O1 0.0039 0.4810 0.9926
```

---

(2)
DFT (PBE with a Hubbard U) results for crystalline MgVCl2O at its relaxed geometry.

CIF file:
```
data_MgVCl2O
_cell_length_a 4.0159
_cell_length_b 3.6994
_cell_length_c 9.0623
_cell_angle_alpha 78.74
_cell_angle_beta 77.00
_cell_angle_gamma 89.99
_space_group_name_H-M_alt 'P 1'
_space_group_IT_number 1
_space_group_name_Hall 'P 1'
loop_
_atom_site_label
_atom_site_fract_x
_atom_site_fract_y
_atom_site_fract_z
Mg1 0.2411 0.2358 0.5141
V1 0.0076 0.9682 0.9998
Cl1 0.6676 0.1628 0.6589
Cl2 0.3266 0.8165 0.3448
O1 0.0071 0.4816 0.9724
```

---

Most stable = (1)

---

(1)
DFT (PBE with a Hubbard U) results for crystalline Mn8Cl3O10 at its relaxed geometry.

CIF file:
```
data_Mn8Cl3O10
_cell_length_a 9.3665
_cell_length_b 9.3665
_cell_length_c 9.3665
_cell_angle_alpha 90.02
_cell_angle_beta 119.99
_cell_angle_gamma 119.99
_space_group_name_H-M_alt 'P 1'
_space_group_IT_number 1
_space_group_name_Hall 'P 1'
loop_
_atom_site_label
_atom_site_fract_x
_atom_site_fract_y
_atom_site_fract_z
Mn1 0.0000 0.5000 0.5000
Mn2 0.0000 0.0000 0.0000
Mn3 0.5000 0.7500 0.2500
Mn4 0.5000 0.2500 0.7500
Mn5 0.6485 0.0000 0.6485
Mn6 0.6485 0.6485 0.0000
Mn7 0.3515 0.3515 0.0000
Mn8 0.3515 0.0000 0.3515
Mn9 0.3516 0.0000 0.0000
Mn10 0.6484 0.6484 0.6484
Mn11 0.6484 0.0000 0.0000
Mn12 0.0000 0.6484 0.0000
Mn13 0.0000 0.0000 0.6484
Mn14 0.0000 0.0000 0.3516
Mn15 0.0000 0.3516 0.0000
Mn16 0.3516 0.3516 0.3516
Cl1 0.0000 0.3040 0.3040
Cl2 0.0000 0.6960 0.6960
Cl3 0.0000 0.6961 0.3039
Cl4 0.0000 0.3039 0.6961
Cl5 0.6078 0.3039 0.3039
Cl6 0.3922 0.6961 0.6961
O1 0.1991 0.0995 0.9005
O2 0.8009 0.7014 0.9005
O3 0.8009 0.0995 0.9005
O4 0.1991 0.9005 0.0995
O5 0.8009 0.9005 0.7014
O6 0.8009 0.9005 0.0995
O7 0.1991 0.2986 0.0995
O8 0.1991 0.0995 0.2986
O9 0.5000 0.4037 0.9037
O10 0.5000 0.9037 0.4037
O11 0.5000 0.5963 0.0963
O12 0.5000 0.0963 0.5963
O13 0.8075 0.4037 0.9037
O14 0.5000 0.9037 0.0963
O15 0.5000 0.5963 0.4037
O16 0.1925 0.0963 0.5963
O17 0.5000 0.0963 0.9037
O18 0.5000 0.4037 0.5963
O19 0.8075 0.9037 0.4037
O20 0.1925 0.5963 0.0963
```

---

(2)
DFT (PBE with a Hubbard U) results for crystalline Mn8Cl3O10 at its relaxed geometry.

CIF file:
```
data_Mn8Cl3O10
_cell_length_a 9.4068
_cell_length_b 9.4068
_cell_length_c 9.4068
_cell_angle_alpha 119.13
_cell_angle_beta 119.13
_cell_angle_gamma 91.52
_space_group_name_H-M_alt 'P 1'
_space_group_IT_number 1
_space_group_name_Hall 'P 1'
loop_
_atom_site_label
_atom_site_fract_x
_atom_site_fract_y
_atom_site_fract_z
Mn1 0.5000 0.5000 0.0000
Mn2 0.0000 0.0000 0.0000
Mn3 0.7500 0.2500 0.5000
Mn4 0.2500 0.7500 0.5000
Mn5 0.0000 0.6496 0.6496
Mn6 0.6496 0.0000 0.6496
Mn7 0.3504 0.0000 0.3504
Mn8 0.0000 0.3504 0.3504
Mn9 0.9988 0.9988 0.3506
Mn10 0.6483 0.6483 0.6494
Mn11 0.0012 0.0012 0.6494
Mn12 0.6483 0.9988 0.0000
Mn13 0.9988 0.6483 0.0000
Mn14 0.0012 0.3517 0.0000
Mn15 0.3517 0.0012 0.0000
Mn16 0.3517 0.3517 0.3506
Cl1 0.3036 0.3036 0.0000
Cl2 0.6968 0.6968 0.3936
Cl3 0.6968 0.3032 0.0000
Cl4 0.3032 0.6968 0.0000
Cl5 0.3032 0.3032 0.6064
Cl6 0.6964 0.6964 0.0000
O1 0.1000 0.9002 0.1998
O2 0.7005 0.9002 0.8002
O3 0.0998 0.9000 0.8002
O4 0.9002 0.1000 0.1998
O5 0.9002 0.7005 0.8002
O6 0.9000 0.0998 0.8002
O7 0.2995 0.0998 0.1998
O8 0.0998 0.2995 0.1998
O9 0.4019 0.9019 0.5000
O10 0.9019 0.4019 0.5000
O11 0.5981 0.0981 0.5000
O12 0.0981 0.5981 0.5000
O13 0.5948 0.0948 0.1895
O14 0.9052 0.0948 0.5000
O15 0.5948 0.4052 0.5000
O16 0.0948 0.5948 0.1895
O17 0.0948 0.9052 0.5000
O18 0.4052 0.5948 0.5000
O19 0.9052 0.4052 0.8105
O20 0.4052 0.9052 0.8105
```

---

Most stable = (2)